Version 1
## NaMgFeS2O8 (GGA+U)

Data for an optimized crystal structure of NaMgFeS2O8.

Cell and atoms, written as extended XYZ:
```
13
Lattice="5.208 0.000 0.000 1.933 4.839 0.000 0.332 0.233 6.379" Properties=species:S:1:pos:R:3 pbc="T T T"
Na 0.000 0.000 0.000
Mg 2.415 1.631 1.853
Fe 0.226 0.156 3.322
S 2.914 1.984 4.957
S 4.664 3.167 1.704
O 2.894 3.453 4.851
O 2.063 1.408 3.833
O 2.298 1.569 6.276
O 3.184 3.595 1.792
O 4.270 1.418 4.852
O 5.232 3.553 0.425
O 4.525 1.633 1.794
O 5.431 3.696 2.838
```

Magnetic moment, Bohr magnetons per cell: 3.00
Crystal system: triclinic

=====

Version 2
## NaMgFeS2O8 (GGA+U)

Data for an optimized crystal structure of NaMgFeS2O8.

Cell and atoms, written as extended XYZ:
```
13
Lattice="4.245 -3.008 0.000 4.245 3.008 0.000 -0.758 0.000 7.546" Properties=species:S:1:pos:R:3 pbc="T T T"
Na 0.000 0.000 0.000
Mg 4.245 -0.139 0.000
Fe 3.866 -1.717 3.773
S 2.655 1.284 5.313
S 5.077 1.284 2.233
O 1.572 1.190 4.327
O 3.411 2.553 5.181
O 4.322 2.553 2.365
O 2.129 1.228 6.742
O 5.604 1.228 0.805
O 3.567 0.083 5.230
O 4.166 0.083 2.316
O 6.161 1.190 3.220
```

Magnetic moment, Bohr magnetons per cell: 5.00
Crystal system: monoclinic

=====

Which structure wins on stability? version 1 wins.

=====

Version 1
## NaMgFeSe2O8 (GGA+U)

Data for an optimized crystal structure of NaMgFeSe2O8.

Cell and atoms, written as extended XYZ:
```
13
Lattice="4.159 -3.134 0.000 4.159 3.134 0.000 -0.024 0.000 7.316" Properties=species:S:1:pos:R:3 pbc="T T T"
Na 0.000 0.000 0.000
Mg 4.159 0.080 0.000
Fe 4.147 1.926 3.658
Se 3.146 -1.227 5.105
Se 5.148 -1.227 2.211
O 4.034 0.388 5.309
O 2.006 -1.162 3.880
O 4.259 0.388 2.006
O 2.553 -1.190 6.753
O 5.741 -1.190 0.563
O 3.953 -2.760 5.115
O 6.287 -1.162 3.436
O 4.341 -2.760 2.201
```

Magnetic moment, Bohr magnetons per cell: 3.90
Crystal system: monoclinic

=====

Version 2
## NaMgFeSe2O8 (GGA+U)

Data for an optimized crystal structure of NaMgFeSe2O8.

Cell and atoms, written as extended XYZ:
```
13
Lattice="5.271 0.000 0.000 -2.016 4.953 0.000 -0.331 -0.380 7.000" Properties=species:S:1:pos:R:3 pbc="T T T"
Na 0.000 0.000 0.000
Mg 2.607 1.300 1.672
Fe 3.101 4.659 3.817
Se 0.535 3.209 2.233
Se 2.501 1.492 5.250
O 0.504 1.573 1.773
O -0.369 3.422 3.600
O 0.889 0.873 5.231
O 0.041 4.278 1.046
O 2.251 3.331 2.265
O 3.477 0.727 3.366
O 3.066 1.200 6.866
O 2.378 3.207 5.222
```

Magnetic moment, Bohr magnetons per cell: 3.00
Crystal system: triclinic

=====

Version 3
## NaMgFeSe2O8 (GGA+U)

Data for an optimized crystal structure of NaMgFeSe2O8.

Cell and atoms, written as extended XYZ:
```
13
Lattice="4.573 -2.914 0.000 4.573 2.914 0.000 -0.340 0.000 6.836" Properties=species:S:1:pos:R:3 pbc="T T T"
Na 0.000 0.000 0.000
Mg 2.981 0.000 4.876
Fe -0.089 0.000 3.224
Se 3.098 0.000 1.576
Se 5.744 0.000 5.186
O 4.105 1.377 1.793
O 1.879 0.000 3.296
O 2.321 0.000 6.708
O 4.622 1.289 4.932
O 4.105 -1.377 1.793
O 6.315 0.000 6.715
O 4.622 -1.289 4.932
O 6.970 0.000 4.068
```

Magnetic moment, Bohr magnetons per cell: 4.99
Crystal system: monoclinic

=====

Which structure wins on stability? version 2 wins.

=====

Version 1
## Mg6NbFeO8 (GGA+U)

Data for an optimized crystal structure of Mg6NbFeO8.

Cell and atoms, written as extended XYZ:
```
16
Lattice="4.326 0.000 0.000 0.000 4.326 0.000 0.000 0.000 8.818" Properties=species:S:1:pos:R:3 pbc="T T T"
Mg 0.000 0.000 0.000
Mg 0.000 0.000 4.409
Mg 0.000 2.163 2.094
Mg 0.000 2.163 6.724
Mg 2.163 0.000 2.094
Mg 2.163 0.000 6.724
Nb 2.163 2.163 4.409
Fe 2.163 2.163 0.000
O 0.000 0.000 2.213
O 0.000 0.000 6.604
O 0.000 2.163 0.000
O 0.000 2.163 4.409
O 2.163 0.000 0.000
O 2.163 0.000 4.409
O 2.163 2.163 2.246
O 2.163 2.163 6.572
```

Magnetic moment, Bohr magnetons per cell: 5.11
Crystal system: tetragonal

=====

Version 2
## Mg6NbFeO8 (GGA+U)

Data for an optimized crystal structure of Mg6NbFeO8.

Cell and atoms, written as extended XYZ:
```
16
Lattice="4.324 0.000 0.000 0.000 4.324 0.000 0.000 0.000 8.711" Properties=species:S:1:pos:R:3 pbc="T T T"
Mg 0.000 0.000 0.000
Mg 0.000 2.162 2.128
Mg 0.000 2.162 6.583
Mg 2.162 0.000 2.128
Mg 2.162 0.000 6.583
Mg 2.162 2.162 0.000
Nb 0.000 0.000 4.355
Fe 2.162 2.162 4.355
O 0.000 0.000 2.066
O 0.000 0.000 6.645
O 0.000 2.162 0.000
O 0.000 2.162 4.355
O 2.162 0.000 0.000
O 2.162 0.000 4.355
O 2.162 2.162 2.136
O 2.162 2.162 6.574
```

Magnetic moment, Bohr magnetons per cell: 5.11
Crystal system: tetragonal

=====

Which structure wins on stability? version 2 wins.

=====

Version 1
## MgFe7Ni6O16 (GGA+U)

Data for an optimized crystal structure of MgFe7Ni6O16.

Cell and atoms, written as extended XYZ:
```
30
Lattice="5.200 -3.042 0.000 5.200 3.042 0.000 -3.180 0.000 9.922" Properties=species:S:1:pos:R:3 pbc="T T T"
Mg 0.000 0.000 0.000
Fe 2.810 1.524 7.439
Fe 4.409 1.524 2.483
Fe 1.845 0.000 2.374
Fe 5.200 0.000 0.000
Fe 5.374 0.000 7.548
Fe 2.810 -1.524 7.439
Fe 4.409 -1.524 2.483
Ni -1.590 0.000 4.961
Ni 1.010 1.521 4.961
Ni 0.178 0.000 7.574
Ni 1.010 -1.521 4.961
Ni 3.610 0.000 4.961
Ni 7.041 0.000 2.348
O -1.653 0.000 8.454
O 2.754 1.539 3.764
O 1.194 1.522 8.581
O 0.151 0.000 3.746
O 4.465 1.539 6.158
O 6.025 1.522 1.341
O 1.889 0.000 6.166
O 3.657 0.000 1.486
O 3.562 0.000 8.436
O 5.330 0.000 3.756
O 1.194 -1.522 8.581
O 2.754 -1.539 3.764
O 7.068 0.000 6.176
O 6.025 -1.522 1.341
O 4.465 -1.539 6.158
O 8.872 0.000 1.468
```

Magnetic moment, Bohr magnetons per cell: 28.00
Crystal system: monoclinic

=====

Version 2
## MgFe7Ni6O16 (GGA+U)

Data for an optimized crystal structure of MgFe7Ni6O16.

Cell and atoms, written as extended XYZ:
```
30
Lattice="5.211 -3.009 0.000 5.211 3.009 0.000 -3.477 0.000 10.051" Properties=species:S:1:pos:R:3 pbc="T T T"
Mg 0.000 0.000 0.000
Fe 0.793 1.498 5.398
Fe 2.609 1.467 0.367
Fe -0.062 0.000 2.519
Fe 3.377 0.000 3.518
Fe 0.793 -1.498 5.398
Fe 2.609 -1.467 0.367
Fe 6.849 0.000 2.738
Ni -1.795 0.000 5.361
Ni -0.011 0.000 7.851
Ni 2.632 1.448 7.781
Ni 5.163 0.000 0.308
Ni 2.632 -1.448 7.781
Ni 5.134 0.000 7.808
O 2.447 1.570 4.143
O -1.739 0.000 9.022
O 0.864 1.495 9.027
O -0.033 0.000 4.427
O 6.049 1.508 1.365
O 1.641 0.000 6.602
O 3.452 0.000 1.533
O 4.383 1.557 6.647
O 0.864 -1.495 9.027
O 2.447 -1.570 4.143
O 3.467 0.000 9.069
O 5.205 0.000 4.215
O 6.049 -1.508 1.365
O 6.884 0.000 6.556
O 8.699 0.000 1.337
O 4.383 -1.557 6.647
```

Magnetic moment, Bohr magnetons per cell: 44.00
Crystal system: monoclinic

=====

Which structure wins on stability? version 2 wins.